# GGA-PBE DyCrS3, relaxed
# Calculated volume: 779.2 Å³/cell
# Mass density: 5297 kg/m³
# Total magnetic moment: 3.0 μB/f.u.
data_DyCrS3
_chemical_formula_sum 'Dy8 Cr8 S24'
_space_group_name_H-M_alt 'P 1'
_space_group_IT_number 1
_cell_length_a 3.701
_cell_length_b 12.991
_cell_length_c 16.204
_cell_angle_alpha 90.00
_cell_angle_beta 90.00
_cell_angle_gamma 90.00
loop_
_space_group_symop_operation_xyz
'x,y,z'
loop_
_atom_site_label
_atom_site_type_symbol
_atom_site_fract_x
_atom_site_fract_y
_atom_site_fract_z
_atom_site_occupancy
S1 S 0.500 0.109 0.116 1
S2 S 0.500 0.084 0.763 1
Cr1 Cr 0.500 0.479 0.684 1
Dy1 Dy 0.500 0.329 0.154 1
Cr2 Cr 0.500 0.000 0.000 1
Dy2 Dy 0.500 0.671 0.846 1
Cr3 Cr 0.500 0.000 0.500 1
Dy3 Dy 0.000 0.242 0.394 1
S3 S 0.500 0.413 0.431 1
S4 S 0.000 0.416 0.263 1
Cr4 Cr 0.000 0.500 0.000 1
S5 S 0.500 0.815 0.472 1
S6 S 0.000 0.027 0.405 1
Dy4 Dy 0.000 0.829 0.346 1
S7 S 0.000 0.584 0.737 1
S8 S 0.500 0.891 0.884 1
S9 S 0.000 0.913 0.069 1
Dy5 Dy 0.500 0.258 0.894 1
S10 S 0.500 0.916 0.237 1
Cr5 Cr 0.000 0.979 0.816 1
Cr6 Cr 0.500 0.521 0.316 1
S11 S 0.000 0.303 0.786 1
Dy6 Dy 0.000 0.171 0.654 1
S12 S 0.500 0.197 0.286 1
S13 S 0.500 0.803 0.714 1
S14 S 0.000 0.391 0.616 1
Cr7 Cr 0.000 0.021 0.184 1
S15 S 0.000 0.609 0.384 1
Cr8 Cr 0.000 0.500 0.500 1
S16 S 0.000 0.973 0.595 1
S17 S 0.500 0.473 0.905 1
S18 S 0.500 0.527 0.095 1
S19 S 0.000 0.697 0.214 1
S20 S 0.000 0.315 0.028 1
S21 S 0.000 0.685 0.972 1
S22 S 0.500 0.185 0.528 1
S23 S 0.000 0.087 0.931 1
Dy7 Dy 0.500 0.742 0.106 1
Dy8 Dy 0.000 0.758 0.606 1
S24 S 0.500 0.587 0.569 1



# GGA-PBE Dy3CrS6, relaxed
# Calculated volume: 801.8 Å³/cell
# Mass density: 6063 kg/m³
data_Dy3CrS6
_chemical_formula_sum 'Dy12 Cr4 S24'
_space_group_name_H-M_alt 'P 1'
_space_group_IT_number 1
_cell_length_a 3.782
_cell_length_b 13.271
_cell_length_c 15.975
_cell_angle_alpha 90.00
_cell_angle_beta 90.00
_cell_angle_gamma 90.00
loop_
_space_group_symop_operation_xyz
'x,y,z'
loop_
_atom_site_label
_atom_site_type_symbol
_atom_site_fract_x
_atom_site_fract_y
_atom_site_fract_z
_atom_site_occupancy
S1 S 0.500 0.313 0.789 1
S2 S 0.000 0.813 0.711 1
Dy1 Dy 0.000 0.450 0.719 1
Dy2 Dy 0.000 0.320 0.148 1
Cr1 Cr 0.000 0.000 0.000 1
S3 S 0.000 0.417 0.425 1
S4 S 0.500 0.320 0.021 1
S5 S 0.000 0.121 0.107 1
S6 S 0.500 0.680 0.979 1
S7 S 0.500 0.917 0.075 1
Dy3 Dy 0.000 0.246 0.903 1
Dy4 Dy 0.500 0.746 0.597 1
S8 S 0.500 0.604 0.745 1
S9 S 0.500 0.621 0.393 1
Dy5 Dy 0.500 0.050 0.219 1
Dy6 Dy 0.000 0.680 0.852 1
S10 S 0.000 0.187 0.289 1
S11 S 0.500 0.976 0.597 1
S12 S 0.000 0.820 0.479 1
S13 S 0.500 0.083 0.925 1
S14 S 0.000 0.896 0.245 1
Dy7 Dy 0.500 0.950 0.781 1
S15 S 0.000 0.476 0.903 1
Dy8 Dy 0.000 0.754 0.097 1
S16 S 0.500 0.396 0.255 1
Dy9 Dy 0.000 0.550 0.281 1
Dy10 Dy 0.500 0.180 0.648 1
Cr2 Cr 0.000 0.000 0.500 1
Dy11 Dy 0.500 0.254 0.403 1
S17 S 0.000 0.180 0.521 1
S18 S 0.500 0.379 0.607 1
Cr3 Cr 0.500 0.500 0.500 1
S19 S 0.500 0.687 0.211 1
S20 S 0.000 0.879 0.893 1
S21 S 0.000 0.524 0.097 1
S22 S 0.500 0.024 0.403 1
Cr4 Cr 0.500 0.500 0.000 1
S23 S 0.000 0.104 0.755 1
S24 S 0.000 0.583 0.575 1
Dy12 Dy 0.500 0.820 0.352 1



# GGA-PBE Dy4CrS7, relaxed
# Calculated volume: 259.7 Å³/cell
# Mass density: 5923 kg/m³
# Total magnetic moment: 3.8 μB/f.u.
data_Dy4CrS7
_chemical_formula_sum 'Dy4 Cr1 S7'
_space_group_name_H-M_alt 'P 1'
_space_group_IT_number 1
_cell_length_a 3.811
_cell_length_b 6.524
_cell_length_c 11.341
_cell_angle_alpha 104.89
_cell_angle_beta 90.00
_cell_angle_gamma 73.02
loop_
_space_group_symop_operation_xyz
'x,y,z'
loop_
_atom_site_label
_atom_site_type_symbol
_atom_site_fract_x
_atom_site_fract_y
_atom_site_fract_z
_atom_site_occupancy
Dy1 Dy 0.112 0.776 0.563 1
S1 S 0.493 0.014 0.490 1
Dy2 Dy 0.693 0.613 0.209 1
S2 S 0.963 0.074 0.784 1
S3 S 0.031 0.939 0.233 1
S4 S 0.747 0.505 0.633 1
S5 S 0.336 0.327 0.053 1
Dy3 Dy 0.999 0.002 0.008 1
Cr1 Cr 0.885 0.230 0.425 1
S6 S 0.274 0.451 0.353 1
Dy4 Dy 0.306 0.388 0.801 1
S7 S 0.660 0.680 0.948 1



no.,calculated total energy (Ry/atom)
1,-0.4852
2,-0.4821
3,-0.4790